# Na2Ta2Al2Si3S3O24, relaxed, DFT PBE
# Formation energy from the elements, kcal/mol of atoms: -62.50
data_Na2Ta2Al2Si3S3O24
_symmetry_space_group_name_H-M 'P 1'
_symmetry_Int_Tables_number 1
_symmetry_space_group_name_Hall 'P 1'
_cell_length_a 8.6623
_cell_length_b 8.6677
_cell_length_c 22.5256
_cell_angle_alpha 89.08
_cell_angle_beta 89.33
_cell_angle_gamma 60.27
loop_
_atom_site_label
_atom_site_fract_x
_atom_site_fract_y
_atom_site_fract_z
_atom_site_occupancy
Na1 0.0000 0.0000 0.0000 1
Na2 0.0008 0.9692 0.4903 1
Na3 0.3208 0.3314 0.3221 1
Na4 0.3281 0.3084 0.8282 1
Na5 0.6553 0.6647 0.6557 1
Na6 0.6585 0.6430 0.1597 1
Ta1 0.0151 0.9946 0.1433 1
Ta2 0.0225 0.9679 0.6390 1
Ta3 0.3356 0.3087 0.9806 1
Ta4 0.3406 0.3258 0.4760 1
Ta5 0.6738 0.6495 0.8100 1
Ta6 0.6846 0.6379 0.3058 1
Al1 0.0144 0.0070 0.8537 1
Al2 0.0239 0.9569 0.3471 1
Al3 0.3462 0.3079 0.1873 1
Al4 0.3549 0.2952 0.6803 1
Al5 0.6648 0.6737 0.5201 1
Al6 0.6792 0.6259 0.0262 1
Si1 0.0266 0.2531 0.2529 1
Si2 0.2892 0.9999 0.7492 1
Si3 0.2899 0.6825 0.2493 1
Si4 0.3630 0.0126 0.0856 1
Si5 0.3636 0.5839 0.5846 1
Si6 0.6212 0.3159 0.0854 1
Si7 0.6228 0.0235 0.5831 1
Si8 0.9493 0.6652 0.4172 1
Si9 0.9551 0.3604 0.9189 1
S1 0.0127 0.6961 0.7512 1
S2 0.0470 0.6021 0.0828 1
S3 0.0505 0.3227 0.5831 1
S4 0.3773 0.6565 0.9154 1
S5 0.3825 0.9339 0.4164 1
S6 0.6818 0.3595 0.4167 1
S7 0.6826 0.9346 0.9144 1
S8 0.7184 0.2640 0.7503 1
S9 0.7194 0.9880 0.2500 1
O1 0.0268 0.7845 0.8036 1
O2 0.0314 0.7793 0.0853 1
O3 0.0318 0.1406 0.3107 1
O4 0.0327 0.1572 0.5890 1
O5 0.1258 0.4931 0.1353 1
O6 0.1324 0.3454 0.6363 1
O7 0.1498 0.4791 0.4233 1
O8 0.1545 0.3437 0.9200 1
O9 0.1610 0.5204 0.0268 1
O10 0.1624 0.2843 0.5289 1
O11 0.1655 0.5196 0.7440 1
O12 0.1724 0.0134 0.8068 1
O13 0.1737 0.7708 0.3076 1
O14 0.1782 0.9970 0.0865 1
O15 0.1794 0.7871 0.5896 1
O16 0.1927 0.2803 0.2406 1
O17 0.1973 0.8095 0.9053 1
O18 0.1977 0.8131 0.1904 1
O19 0.1996 0.9594 0.6911 1
O20 0.2028 0.9571 0.4112 1
O21 0.3078 0.1443 0.0237 1
O22 0.3086 0.1745 0.7394 1
O23 0.3092 0.5110 0.5250 1
O24 0.3229 0.4868 0.2390 1
O25 0.3665 0.1143 0.4224 1
O26 0.3669 0.4909 0.9180 1
O27 0.3680 0.4756 0.6437 1
O28 0.3741 0.1157 0.1412 1
O29 0.4566 0.6857 0.9674 1
O30 0.4636 0.8258 0.4704 1
O31 0.4846 0.6776 0.2582 1
O32 0.4894 0.8168 0.7569 1
O33 0.4914 0.6310 0.8605 1
O34 0.4915 0.8555 0.3629 1
O35 0.4963 0.3443 0.1407 1
O36 0.5062 0.1093 0.6413 1
O37 0.5134 0.3426 0.4197 1
O38 0.5192 0.1159 0.9174 1
O39 0.5297 0.2919 0.0225 1
O40 0.5299 0.6105 0.5701 1
O41 0.5317 0.8255 0.0680 1
O42 0.5329 0.1483 0.5234 1
O43 0.5379 0.2913 0.7454 1
O44 0.5421 0.1420 0.2443 1
O45 0.6445 0.4713 0.3617 1
O46 0.6462 0.8541 0.8599 1
O47 0.6527 0.4831 0.0764 1
O48 0.6547 0.8267 0.5750 1
O49 0.6962 0.4459 0.4693 1
O50 0.6969 0.8250 0.2557 1
O51 0.7007 0.4482 0.7566 1
O52 0.7037 0.8303 0.9674 1
O53 0.8024 0.0079 0.3033 1
O54 0.8019 0.1559 0.8041 1
O55 0.8155 0.1297 0.0882 1
O56 0.8200 0.0126 0.5920 1
O57 0.8264 0.1903 0.6965 1
O58 0.8277 0.9515 0.1955 1
O59 0.8301 0.4702 0.9729 1
O60 0.8335 0.6753 0.4747 1
O61 0.8343 0.1827 0.4098 1
O62 0.8425 0.4558 0.2568 1
O63 0.8420 0.9499 0.9025 1
O64 0.8452 0.6795 0.7553 1
O65 0.8603 0.6285 0.3582 1
O66 0.8622 0.4828 0.8572 1
O67 0.8713 0.6214 0.0726 1
O68 0.8728 0.4735 0.5754 1
O69 0.9735 0.1835 0.1914 1
O70 0.9738 0.1657 0.9100 1
O71 0.9744 0.8371 0.4071 1
O72 0.9762 0.8068 0.6957 1